# 1
Tb2MgCr2O8: optimized geometry, GGA+U.

abc: 5.0469 5.1575 7.9127
angles: 105.57 105.32 99.86
Fractional coordinates of all 13 atoms:
Tb 0.0000 0.0000 0.0000
Tb 0.1784 0.6764 0.3547
Mg 0.3331 0.3287 0.6605
Cr 0.5268 0.5263 0.0531
Cr 0.6649 0.1627 0.3274
O 0.0019 0.4156 0.5039
O 0.2417 0.2269 0.8648
O 0.3242 0.7961 0.1249
O 0.4018 0.3628 0.2462
O 0.5057 0.0840 0.5046
O 0.6244 0.6376 0.8642
O 0.8019 0.3282 0.1252
O 0.8455 0.8812 0.2457

Polymorph energy (0 for the lowest one) (meV per atom): 0.0
Symmetry: P1
Formation enthalpy at 0 K (meV/atom): -2846
Calculated density (g/cm3): 5.2

***

# 2
Na2FeO3: optimized geometry, GGA+U.

abc: 5.8939 6.3199 5.8984
angles: 90.00 115.47 90.00
Fractional coordinates of all 12 atoms:
Na 0.0000 0.2498 0.0000
Na 0.0000 0.7502 0.0000
Na 0.4989 0.2499 0.5021
Na 0.4989 0.7501 0.5021
Fe 0.5925 0.0000 0.0945
Fe 0.9060 0.5000 0.4073
O 0.1790 0.5000 0.3502
O 0.3202 0.0000 0.1531
O 0.6497 0.0000 0.8217
O 0.7496 0.2501 0.2506
O 0.7496 0.7499 0.2506
O 0.8483 0.5000 0.6799

Polymorph energy (0 for the lowest one) (meV per atom): 72.7
Symmetry: Pm
Formation enthalpy at 0 K (meV/atom): -1565
Calculated density (g/cm3): 2.5